Al3Mo: relaxed, r²SCAN.

As for the space group: C2/m, No. 12.

a b c (Å): 8.3757 8.3757 8.3397
angles (deg): 101.74 101.74 24.70
Last column: nearest neighbours and their distance in Å.
Positions (direct):
Al: 0.0601 0.0601 0.4160  6 Al 2.64-2.93, 4 Mo 2.80-2.81
Al: 0.0656 0.0656 0.9203  8 Al 2.67-2.85, 3 Mo 2.72-2.97
Al: 0.1875 0.1875 0.7206  4 Mo 2.56-2.59, 6 Al 2.75-2.85
Al: 0.3111 0.3111 0.0201  8 Al 2.65-2.87, 4 Mo 2.72-2.82
Al: 0.3123 0.3123 0.5302  8 Al 2.68-2.84, 4 Mo 2.72-2.83
Al: 0.4343 0.4343 0.8221  8 Al 2.69-2.86, 3 Mo 2.74-2.78
Al: 0.5657 0.5657 0.1779  8 Al 2.69-2.86, 3 Mo 2.74-2.78
Al: 0.6877 0.6877 0.4698  8 Al 2.68-2.84, 4 Mo 2.72-2.83
Al: 0.6889 0.6889 0.9799  8 Al 2.65-2.87, 4 Mo 2.72-2.82
Al: 0.8125 0.8125 0.2794  4 Mo 2.56-2.59, 6 Al 2.75-2.85
Al: 0.9344 0.9344 0.0797  8 Al 2.67-2.85, 3 Mo 2.72-2.97
Al: 0.9399 0.9399 0.5840  6 Al 2.64-2.93, 4 Mo 2.80-2.81
Mo: 0.1954 0.1954 0.2282  10 Al 2.59-2.83
Mo: 0.4267 0.4267 0.3211  11 Al 2.56-2.81
Mo: 0.5733 0.5733 0.6789  11 Al 2.56-2.81
Mo: 0.8046 0.8046 0.7718  10 Al 2.59-2.83



Al22Mo5: relaxed, r²SCAN.

As for the space group: C2, No. 5.

a b c (Å): 5.1849 5.1849 36.8493
angles (deg): 96.27 96.27 56.36
Last column: nearest neighbours and their distance in Å.
Positions (direct):
Al: 0.0140 0.5132 0.9823  10 Al 2.69-2.93, 2 Mo 2.71
Al: 0.0180 0.6616 0.6830  8 Al 2.64-2.87, 3 Mo 2.73-2.85
Al: 0.0188 0.0188 0.3708  9 Al 2.64-2.92, 2 Mo 2.71-2.73
Al: 0.0254 0.1918 0.8516  9 Al 2.65-2.87, 3 Mo 2.71-2.88
Al: 0.0321 0.6873 0.4265  9 Al 2.69-2.85, 3 Mo 2.80-2.85
Al: 0.0751 0.5744 0.9060  2 Mo 2.68-2.70, 10 Al 2.70-2.93
Al: 0.1142 0.1281 0.7080  3 Mo 2.62-2.72, 7 Al 2.70-2.92
Al: 0.1412 0.6997 0.7558  7 Al 2.63-2.92, 4 Mo 2.69-2.94
Al: 0.1498 0.6275 0.8324  10 Al 2.65-2.96, 2 Mo 2.67-2.75
Al: 0.1635 0.1343 0.4443  2 Mo 2.69-2.71, 10 Al 2.69-2.91
Al: 0.2714 0.4151 0.1830  8 Al 2.65-2.87, 3 Mo 2.73-2.85
Al: 0.2818 0.2806 0.5177  10 Al 2.69-2.93, 2 Mo 2.71
Al: 0.3003 0.8588 0.2442  7 Al 2.63-2.92, 4 Mo 2.69-2.94
Al: 0.3056 0.3648 0.2558  7 Al 2.63-2.92, 4 Mo 2.69-2.94
Al: 0.3127 0.9679 0.5735  9 Al 2.69-2.85, 3 Mo 2.80-2.85
Al: 0.3384 0.9820 0.3170  8 Al 2.64-2.87, 3 Mo 2.73-2.85
Al: 0.3725 0.8502 0.1676  10 Al 2.65-2.96, 2 Mo 2.67-2.75
Al: 0.3981 0.5581 0.0376  9 Al 2.69-2.85, 3 Mo 2.80-2.84
Al: 0.4197 0.4176 0.5940  2 Mo 2.68-2.70, 10 Al 2.70-2.93
Al: 0.4240 0.0899 0.6484  9 Al 2.65-2.87, 3 Mo 2.71-2.88
Al: 0.4256 0.9249 0.0940  2 Mo 2.68-2.70, 10 Al 2.70-2.93
Al: 0.4419 0.6019 0.9624  9 Al 2.69-2.85, 3 Mo 2.80-2.84
Al: 0.4552 0.4322 0.3324  10 Al 2.65-2.97, 2 Mo 2.67-2.75
Al: 0.4868 0.9860 0.0177  10 Al 2.69-2.93, 2 Mo 2.71
Al: 0.5599 0.0317 0.9443  10 Al 2.69-2.91, 2 Mo 2.69-2.71
Al: 0.5678 0.5448 0.6676  10 Al 2.65-2.97, 2 Mo 2.67-2.75
Al: 0.5824 0.5803 0.4060  2 Mo 2.68-2.70, 10 Al 2.70-2.93
Al: 0.5849 0.7286 0.8170  8 Al 2.65-2.87, 3 Mo 2.73-2.85
Al: 0.6012 0.1026 0.8708  9 Al 2.65-2.92, 2 Mo 2.71-2.73
Al: 0.6110 0.2707 0.4625  9 Al 2.69-2.85, 3 Mo 2.80-2.84
Al: 0.6352 0.6944 0.7442  7 Al 2.63-2.92, 4 Mo 2.69-2.94
Al: 0.6561 0.1701 0.7920  3 Mo 2.62-2.72, 7 Al 2.70-2.92
Al: 0.7194 0.7182 0.4823  10 Al 2.69-2.93, 2 Mo 2.71
Al: 0.7293 0.3890 0.5375  9 Al 2.69-2.85, 3 Mo 2.80-2.84
Al: 0.8082 0.9746 0.1484  9 Al 2.65-2.87, 3 Mo 2.71-2.88
Al: 0.8299 0.3439 0.2080  3 Mo 2.62-2.72, 7 Al 2.70-2.92
Al: 0.8548 0.0114 0.0735  9 Al 2.69-2.84, 3 Mo 2.80-2.85
Al: 0.8657 0.8365 0.5557  2 Mo 2.69-2.71, 10 Al 2.69-2.91
Al: 0.8719 0.8858 0.2920  3 Mo 2.62-2.72, 7 Al 2.70-2.92
Al: 0.8974 0.3988 0.1292  9 Al 2.65-2.92, 2 Mo 2.71-2.73
Al: 0.9101 0.5760 0.3516  9 Al 2.65-2.87, 3 Mo 2.71-2.88
Al: 0.9683 0.4401 0.0557  10 Al 2.69-2.91, 2 Mo 2.69-2.71
Al: 0.9812 0.9812 0.6292  9 Al 2.64-2.92, 2 Mo 2.71-2.73
Al: 0.9886 0.1452 0.9265  9 Al 2.69-2.84, 3 Mo 2.80-2.85
Mo: 0.1160 0.2347 0.7820  10 Al 2.62-2.84
Mo: 0.1718 0.8282 0.5000  12 Al 2.71-2.85
Mo: 0.3348 0.4886 0.1097  12 Al 2.68-2.88
Mo: 0.4754 0.1288 0.3903  12 Al 2.68-2.88
Mo: 0.5114 0.6652 0.8903  12 Al 2.68-2.88
Mo: 0.5842 0.2028 0.7180  10 Al 2.62-2.84
Mo: 0.7653 0.8840 0.2180  10 Al 2.62-2.84
Mo: 0.7972 0.4158 0.2820  10 Al 2.62-2.84
Mo: 0.8712 0.5246 0.6097  12 Al 2.68-2.88
Mo: 0.9215 0.0785 0.0000  12 Al 2.71-2.85



Al12Mo: relaxed, r²SCAN.

As for the space group: Im-3, No. 204.

a b c (Å): 6.5185 6.5185 6.5185
angles (deg): 109.47 109.47 109.47
Last column: nearest neighbours and their distance in Å.
Positions (direct):
Al: 0.1212 0.3078 0.8134  1 Mo 2.71, 10 Al 2.77-2.89
Al: 0.1866 0.4943 0.3078  1 Mo 2.71, 10 Al 2.77-2.89
Al: 0.1866 0.8788 0.6922  1 Mo 2.71, 10 Al 2.77-2.89
Al: 0.3078 0.1866 0.4943  1 Mo 2.71, 10 Al 2.77-2.89
Al: 0.3078 0.8134 0.1212  1 Mo 2.71, 10 Al 2.77-2.89
Al: 0.4943 0.3078 0.1866  1 Mo 2.71, 10 Al 2.77-2.89
Al: 0.5057 0.6922 0.8134  1 Mo 2.71, 10 Al 2.77-2.89
Al: 0.6922 0.1866 0.8788  1 Mo 2.71, 10 Al 2.77-2.89
Al: 0.6922 0.8134 0.5057  1 Mo 2.71, 10 Al 2.77-2.89
Al: 0.8134 0.1212 0.3078  1 Mo 2.71, 10 Al 2.77-2.89
Al: 0.8134 0.5057 0.6922  1 Mo 2.71, 10 Al 2.77-2.89
Al: 0.8788 0.6922 0.1866  1 Mo 2.71, 10 Al 2.77-2.89
Mo: 0.0000 0.0000 0.0000  12 Al 2.71



AlSiMo: relaxed, r²SCAN.

As for the space group: P3_212, No. 153.

a b c (Å): 4.7292 4.7292 6.5774
angles (deg): 90.00 90.00 120.00
Last column: nearest neighbours and their distance in Å.
Positions (direct):
Al: 0.1670 0.3340 0.3333  5 Si 2.57-2.75, 5 Mo 2.60-2.78
Al: 0.1670 0.8330 0.6667  5 Si 2.57-2.75, 5 Mo 2.60-2.78
Al: 0.6660 0.8330 0.0000  5 Si 2.57-2.75, 5 Mo 2.60-2.78
Si: 0.0110 0.5055 0.0000  5 Al 2.57-2.75, 5 Mo 2.58-2.73
Si: 0.4945 0.5055 0.6667  5 Al 2.57-2.75, 5 Mo 2.58-2.73
Si: 0.4945 0.9890 0.3333  5 Al 2.57-2.75, 5 Mo 2.58-2.73
Mo: 0.3450 0.1725 0.0000  5 Si 2.58-2.73, 5 Al 2.60-2.78
Mo: 0.8275 0.1725 0.6667  5 Si 2.58-2.73, 5 Al 2.60-2.78
Mo: 0.8275 0.6550 0.3333  5 Si 2.58-2.73, 5 Al 2.60-2.78



AlSiMo6: relaxed, r²SCAN.

As for the space group: Pm-3, No. 200.

a b c (Å): 4.9218 4.9218 4.9218
angles (deg): 90.00 90.00 90.00
Last column: nearest neighbours and their distance in Å.
Positions (direct):
Al: 0.0000 0.0000 0.0000  12 Mo 2.76
Si: 0.5000 0.5000 0.5000  12 Mo 2.75
Mo: 0.0000 0.2518 0.5000  2 Mo 2.44-2.48
Mo: 0.0000 0.7482 0.5000  2 Mo 2.44-2.48
Mo: 0.2518 0.5000 0.0000  2 Mo 2.44-2.48
Mo: 0.5000 0.0000 0.2518  2 Mo 2.44-2.48
Mo: 0.5000 0.0000 0.7482  2 Mo 2.44-2.48
Mo: 0.7482 0.5000 0.0000  2 Mo 2.44-2.48



AlN: relaxed, r²SCAN.

As for the space group: P6_3mc, No. 186.

a b c (Å): 3.1286 3.1286 5.0170
angles (deg): 90.00 90.00 120.00
Last column: nearest neighbours and their distance in Å.
Positions (direct):
Al: 0.3333 0.6667 0.0000  4 N 1.90-1.91
Al: 0.6667 0.3333 0.5000  4 N 1.90-1.91
N: 0.3333 0.6667 0.3814  4 Al 1.90-1.91
N: 0.6667 0.3333 0.8814  4 Al 1.90-1.91



AlN: relaxed, r²SCAN.

As for the space group: F-43m, No. 216.

a b c (Å): 3.0886 3.0886 3.0886
angles (deg): 60.00 60.00 60.00
Last column: nearest neighbours and their distance in Å.
Positions (direct):
Al: 0.0000 0.0000 0.0000  4 N 1.89
N: 0.7500 0.7500 0.7500  4 Al 1.89



Sm3AlN: relaxed, r²SCAN.

As for the space group: Pm-3m, No. 221.

a b c (Å): 4.9035 4.9035 4.9035
angles (deg): 90.00 90.00 90.00
Last column: nearest neighbours and their distance in Å.
Positions (direct):
Sm: 0.0000 0.0000 0.5000  2 N 2.45
Sm: 0.0000 0.5000 0.0000  2 N 2.45
Sm: 0.5000 0.0000 0.0000  2 N 2.45
Al: 0.5000 0.5000 0.5000  12 Sm 3.47
N: 0.0000 0.0000 0.0000  6 Sm 2.45



It is found that the energy of formation values, taken in the order of the records, are -0.363; -0.288; -0.113; -0.410; -0.296; -1.680; -1.659; -0.969 eV per atom.
It is found that the total moment values, taken in the order of the records, are 0.00; 0.00; 0.00; 0.00; 0.00; 0.00; 0.00; 0.00 μB per formula unit.